# 1
MnBe2Ir (PBE, relaxed); raw total energy = -6.82 eV/atom; space group = Fm-3m, No. 225; ρ = 10.294 Mg/m³; energy of formation from the pure elements = -44 kJ/mol of atoms
1.0
-1.229 -1.535 3.397
-0.091 2.218 3.238
-3.444 1.109 1.523
Mn Be Ir
1 2 1
Cartesian
0.000 0.000 0.000 Mn
-1.191 0.448 2.039 Be
-3.573 1.344 6.118 Be
-2.382 0.896 4.079 Ir

# 2
CaBi4O8 (PBE, relaxed); raw total energy = -5.70 eV/atom; ΔE to the lowest computed polymorph = 10.2 meV per atom; space group = Cm, No. 8; ρ = 7.521 Mg/m³; energy of formation from the pure elements = -167 kJ/mol of atoms
1.0
0.008 -5.597 5.619
3.273 -4.570 5.595
-0.594 2.117 9.815
Bi O Ca
4 8 1
Cartesian
1.955 -6.008 8.852 Bi
2.558 -7.787 14.710 Bi
0.770 -2.148 12.859 Bi
0.209 -0.505 6.778 Bi
2.647 -7.949 19.881 O
2.442 -7.368 16.926 O
1.321 -4.001 8.449 O
0.082 -0.151 4.722 O
0.377 -1.159 1.712 O
0.331 -0.844 8.882 O
2.256 -6.887 12.266 O
1.443 -4.289 12.755 O
1.429 -4.184 15.319 Ca

# 3
Rb3AlCl6 (PBE, relaxed); raw total energy = -3.55 eV/atom; space group = Fm-3m, No. 225; ρ = 2.550 Mg/m³; energy of formation from the pure elements = -207 kJ/mol of atoms
1.0
1.394 -7.108 2.617
3.017 -0.998 7.015
-4.314 -2.932 5.666
Rb Al Cl
3 1 6
Cartesian
0.024 -2.760 3.825 Rb
0.072 -8.279 11.474 Rb
0.048 -5.519 7.649 Rb
0.000 0.000 0.000 Al
1.739 -2.945 7.288 Cl
-1.642 -8.093 8.010 Cl
-0.718 -4.614 10.514 Cl
2.532 -6.992 8.778 Cl
-2.436 -4.046 6.520 Cl
0.814 -6.424 4.784 Cl

# 4
Y4CdIr (PBE, relaxed); raw total energy = -6.46 eV/atom; space group = F-43m, No. 216; ρ = 6.851 Mg/m³; energy of formation from the pure elements = -50 kJ/mol of atoms
1.0
-0.138 -8.912 -3.761
-6.927 -2.495 -6.274
2.179 -1.348 -9.328
Y Ir Cd
16 4 4
Cartesian
-1.010 -7.953 -5.999 Y
-1.935 -7.684 -14.390 Y
-2.802 -10.514 -12.307 Y
0.346 -8.792 -11.801 Y
-3.877 -4.801 -13.364 Y
-0.396 -5.269 -12.382 Y
-5.343 -8.113 -13.247 Y
-5.318 -9.505 -9.901 Y
-5.394 -11.448 -14.654 Y
-5.877 -5.960 -10.544 Y
-1.791 -9.822 -9.032 Y
-5.232 -3.963 -7.562 Y
-4.527 -8.618 -16.737 Y
-1.987 -11.018 -15.797 Y
-1.708 -4.458 -6.768 Y
0.432 -3.249 -9.462 Y
0.252 -2.391 -6.786 Ir
-3.695 -2.888 -5.462 Ir
-0.752 -5.669 -4.373 Ir
-0.692 -1.807 -2.743 Ir
-3.536 -6.969 -8.239 Cd
-2.791 -4.538 -10.029 Cd
-0.610 -6.600 -9.221 Cd
-2.836 -7.402 -11.237 Cd

# 5
Tm2S3O12 (PBE, relaxed); raw total energy = -6.94 eV/atom; space group = Pbcn, No. 60; ρ = 3.778 Mg/m³; energy of formation from the pure elements = -258 kJ/mol of atoms
1.0
-0.875 -9.088 -1.235
5.279 -1.533 7.541
-10.486 0.011 7.344
O Tm S
48 8 12
Cartesian
-8.586 -6.187 8.852 O
0.277 -4.482 7.789 O
-0.390 -3.800 5.563 O
-7.619 -1.583 7.667 O
-5.691 -6.810 8.086 O
-1.084 -5.947 6.441 O
-3.327 -6.125 1.372 O
-3.694 -9.029 12.011 O
-2.039 -3.907 7.322 O
-2.452 -6.414 10.845 O
-4.013 -1.327 4.216 O
-0.325 -8.345 4.593 O
-3.630 -4.197 2.804 O
1.609 -1.405 5.478 O
-5.616 -8.959 10.539 O
-0.349 -5.876 0.725 O
-9.116 -4.227 7.562 O
3.035 -6.384 6.088 O
-2.068 -9.283 9.434 O
-1.110 -4.430 10.511 O
-2.547 -1.609 9.269 O
-3.480 -4.416 9.968 O
-2.387 -1.582 1.638 O
-4.997 -4.664 7.209 O
-1.811 -8.743 0.606 O
-0.131 -1.836 9.229 O
-2.034 -8.963 7.052 O
-0.465 -1.652 3.110 O
-6.588 -6.149 11.175 O
-4.047 -1.648 6.597 O
-3.534 -9.002 4.381 O
-4.271 -1.867 13.043 O
-5.915 -8.970 12.953 O
-0.166 -1.641 0.697 O
-4.042 -6.703 6.328 O
-5.950 -8.774 4.420 O
-4.971 -6.180 3.138 O
0.507 -4.461 2.475 O
1.892 -8.456 3.645 O
2.505 -4.423 4.797 O
1.538 -9.028 5.982 O
-5.757 -2.266 9.056 O
-7.973 -2.154 10.004 O
-7.691 -9.206 8.171 O
-2.601 -6.194 3.682 O
-2.754 -4.485 12.277 O
-6.359 -6.128 5.860 O
-5.733 -4.735 12.924 O
-7.096 -7.613 9.588 Tm
-3.866 -3.072 8.250 Tm
1.015 -2.997 4.061 Tm
-6.946 -6.874 3.859 Tm
-9.301 -2.326 6.432 Tm
-2.215 -7.538 5.399 Tm
3.219 -8.284 7.217 Tm
0.865 -3.737 9.790 Tm
-2.133 -9.972 8.128 S
-7.044 -1.532 9.035 S
-5.270 -6.079 6.868 S
-3.635 -5.677 2.751 S
-0.811 -4.531 6.781 S
-2.446 -4.934 10.898 S
-5.095 -9.476 11.830 S
0.857 -5.188 1.232 S
-3.948 -0.639 5.522 S
0.963 -9.078 4.614 S
3.547 -5.433 5.073 S
-0.986 -1.135 1.819 S

# 6
PrH18Br3O18 (PBE, relaxed); raw total energy = -4.88 eV/atom; space group = P6_3mc, No. 186; ρ = 2.650 Mg/m³; energy of formation from the pure elements = -115 kJ/mol of atoms
1.0
-10.309 6.217 -0.157
0.041 -11.498 3.569
1.113 2.009 6.459
H O Br Pr
36 36 6 2
Cartesian
-2.284 -2.150 2.912 H
-0.902 -2.984 2.933 H
-0.242 -4.578 8.232 H
-6.386 -1.726 2.148 H
-6.000 3.321 3.130 H
-6.401 2.597 0.806 H
-6.208 -5.713 4.696 H
-8.259 4.129 5.627 H
-0.247 -3.066 7.762 H
-8.512 2.029 3.964 H
-3.153 -6.591 6.742 H
-6.883 4.837 5.169 H
-4.509 -5.774 6.722 H
-4.634 -0.310 4.023 H
-2.932 0.916 5.708 H
-0.644 -5.301 5.908 H
-5.035 -1.031 1.699 H
-8.905 -0.206 2.110 H
-8.506 0.517 4.434 H
-5.045 1.779 0.827 H
-2.937 2.458 5.229 H
-4.644 2.503 3.150 H
-0.886 -7.385 4.299 H
-8.911 1.306 1.641 H
-8.243 -0.272 6.993 H
-2.753 -5.870 9.067 H
-4.109 -5.052 9.046 H
-4.119 -2.239 8.173 H
-6.213 -4.172 4.218 H
-6.861 -1.105 7.014 H
-5.984 -1.004 4.472 H
-2.769 -1.545 7.724 H
-0.649 -3.788 5.439 H
-3.169 -2.269 5.401 H
-2.262 -8.092 4.756 H
-4.519 -2.963 5.849 H
-3.500 1.689 5.481 O
-0.348 -0.472 4.178 O
-4.830 0.739 7.850 O
-5.671 -4.991 4.294 O
-0.318 -8.746 6.746 O
-1.880 -3.041 3.035 O
-5.694 -5.237 8.069 O
-2.180 -0.839 6.095 O
0.153 -6.183 7.355 O
-4.841 3.804 6.899 O
-1.028 -4.680 5.242 O
-4.313 -7.076 2.971 O
-7.291 -0.261 6.741 O
-5.390 2.814 3.719 O
-9.293 -1.034 3.744 O
-1.577 -5.669 2.062 O
-4.324 -4.013 2.020 O
-6.997 4.099 1.751 O
-3.765 -6.087 6.151 O
-1.873 0.179 0.600 O
-8.125 1.407 4.628 O
0.139 -2.237 6.130 O
-9.307 2.911 2.519 O
-5.703 -2.651 7.266 O
-3.451 -0.621 2.608 O
-7.306 3.984 5.423 O
-1.865 -7.286 4.352 O
-9.290 4.653 0.487 O
-7.578 2.396 7.808 O
-3.776 -3.023 5.200 O
-9.261 -3.621 3.055 O
-7.736 -4.272 6.633 O
-5.379 -0.249 4.669 O
-2.156 -7.371 8.122 O
-6.974 -2.433 3.779 O
-3.460 1.966 1.805 O
-0.498 -0.679 5.813 Br
-2.413 0.641 2.094 Br
-0.473 -7.651 7.977 Br
-8.663 4.411 1.999 Br
-8.638 -2.561 4.163 Br
-6.723 -3.881 7.882 Br
-6.024 1.818 5.926 Pr
-3.131 -5.092 3.938 Pr